4
Lattice="0.000 3.396 3.396 3.396 0.000 3.396 3.396 3.396 0.000" Properties=species:S:1:pos:R:3 comment="TbErRh2, relaxed, DFT r²SCAN" formation_energy_mev_per_atom=-952 pbc="T T T"
Tb 0.000 0.000 0.000
Er 3.396 3.396 3.396
Rh 1.698 1.698 1.698
Rh 5.094 5.094 5.094

4
Lattice="0.000 3.394 3.394 3.394 0.000 3.394 3.394 3.394 0.000" Properties=species:S:1:pos:R:3 comment="YErRh2, relaxed, DFT r²SCAN" formation_energy_mev_per_atom=-938 pbc="T T T"
Y 0.000 0.000 0.000
Er 3.394 3.394 3.394
Rh 1.697 1.697 1.697
Rh 5.091 5.091 5.091

12
Lattice="6.861 0.000 0.000 0.000 3.954 0.000 0.000 0.000 8.037" Properties=species:S:1:pos:R:3 comment="ErZnRh, relaxed, DFT r²SCAN" formation_energy_mev_per_atom=-794 pbc="T T T"
Er 0.286 0.989 1.473
Er 3.145 2.966 5.492
Er 3.716 0.989 2.545
Er 6.575 2.966 6.563
Zn 0.923 0.989 4.526
Zn 2.508 2.966 0.507
Zn 4.353 0.989 7.529
Zn 5.938 2.966 3.511
Rh 1.698 2.966 3.019
Rh 1.733 0.989 7.037
Rh 5.128 2.966 1.000
Rh 5.163 0.989 5.018